1.
First-principles (PBE-GGA) data for a relaxed CaTi2N2 crystal, as listed in Materials Project.

* energy of formation: -0.7868 eV/atom
* total magnetic moment: 0.899 μB/cell
* uncorrected energy: -7.54 eV/atom
* mass density: 3.1 g cm⁻³

a = 3.241 Å, b = 3.241 Å, c = 8.232 Å
α = 90.00°, β = 90.00°, γ = 90.00°
Space group P-4m2 (No. 115)
Asymmetric unit:
1 Ca 0.000 0.000 0.000
2 Ti 0.500 0.500 0.324
3 N 0.000 0.500 0.799


2.
First-principles (PBE-GGA) data for a relaxed Ca11Ti2N10 crystal, as listed in Materials Project.

* energy of formation: -0.6892 eV/atom
* total magnetic moment: 1.340 μB/cell
* uncorrected energy: -5.80 eV/atom
* mass density: 2.7 g cm⁻³

a = 15.215 Å, b = 15.215 Å, c = 3.631 Å
α = 90.00°, β = 90.00°, γ = 90.00°
Space group P4_2/mnm (No. 136)
Asymmetric unit:
1 Ca 0.000 0.000 0.000
2 Ca 0.028 0.195 0.500
3 Ca 0.086 0.631 0.500
4 Ca 0.154 0.846 0.000
5 Ti 0.199 0.199 0.000
6 N 0.005 0.313 0.000
7 N 0.080 0.920 0.500
8 N 0.113 0.113 0.000
9 N 0.217 0.783 0.500


3.
First-principles (PBE-GGA) data for a relaxed Ca3Ti2N4 crystal, as listed in Materials Project.

* energy of formation: -1.2537 eV/atom
* total magnetic moment: 0.004 μB/cell
* uncorrected energy: -7.22 eV/atom
* E above lowest polymorph: 0.0181 eV/atom
* mass density: 3.5 g cm⁻³

a = 11.059 Å, b = 8.475 Å, c = 5.581 Å
α = 90.00°, β = 92.07°, γ = 90.00°
Space group C2/c (No. 15)
Asymmetric unit:
1 Ca 0.000 0.107 0.250
2 Ca 0.111 0.369 0.535
3 Ti 0.201 0.118 0.909
4 N 0.123 0.328 0.035
5 N 0.159 0.078 0.572


4.
First-principles (PBE-GGA) data for a relaxed Ca7TlN4 crystal, as listed in Materials Project.

* energy of formation: -0.8753 eV/atom
* uncorrected energy: -4.90 eV/atom
* mass density: 3.5 g cm⁻³

a = 11.775 Å, b = 12.122 Å, c = 3.611 Å
α = 90.00°, β = 90.00°, γ = 90.00°
Space group P2_12_12 (No. 18)
Asymmetric unit:
1 Ca 0.000 0.000 0.000
2 Ca 0.028 0.231 0.499
3 Ca 0.227 0.821 0.000
4 Ca 0.232 0.065 0.501
5 Tl 0.000 0.500 0.954
6 N 0.126 0.895 0.500
7 N 0.145 0.164 0.000


5.
First-principles (PBE-GGA) data for a relaxed Ca3TlN crystal, as listed in Materials Project.

* energy of formation: -0.7019 eV/atom
* total magnetic moment: 0.020 μB/cell
* uncorrected energy: -3.97 eV/atom
* mass density: 4.6 g cm⁻³

a = 4.954 Å, b = 4.954 Å, c = 4.954 Å
α = 90.00°, β = 90.00°, γ = 90.00°
Space group Pm-3m (No. 221)
Asymmetric unit:
1 Ca 0.000 0.000 0.500
2 Tl 0.500 0.500 0.500
3 N 0.000 0.000 0.000


6.
First-principles (PBE-GGA) data for a relaxed Ca11V2N10 crystal, as listed in Materials Project.

* energy of formation: -0.6701 eV/atom
* total magnetic moment: 4.522 μB/cell
* uncorrected energy: -5.89 eV/atom
* mass density: 2.7 g cm⁻³

a = 15.203 Å, b = 15.203 Å, c = 3.591 Å
α = 90.00°, β = 90.00°, γ = 90.00°
Space group P4_2/mnm (No. 136)
Asymmetric unit:
1 Ca 0.000 0.000 0.000
2 Ca 0.028 0.197 0.500
3 Ca 0.093 0.630 0.500
4 Ca 0.156 0.844 0.000
5 V 0.197 0.197 0.000
6 N 0.002 0.687 0.000
7 N 0.081 0.919 0.500
8 N 0.114 0.114 0.000
9 N 0.221 0.779 0.500